No. 1
Sm12InCo6 | meta-GGA r2SCAN | optimized geometry

Structure (POSCAR):
```
Sm12InCo6
1.0
5.239 6.445 2.055
-5.646 -1.210 6.314
4.574 -7.140 -1.143
Sm In Co
12 1 6
Direct
0.808 0.696 0.504
0.192 0.304 0.496
0.192 0.696 0.888
0.808 0.304 0.112
0.696 0.504 0.808
0.304 0.496 0.192
0.696 0.888 0.192
0.304 0.112 0.808
0.504 0.808 0.696
0.496 0.192 0.304
0.112 0.808 0.304
0.888 0.192 0.696
0.000 0.000 0.000
0.890 0.390 0.500
0.110 0.610 0.500
0.390 0.500 0.890
0.610 0.500 0.110
0.500 0.890 0.390
0.500 0.110 0.610
```

V	25.38	Å³/atom
DFT formation energy	-117	meV/atom
M_tot	1.5	μB/f.u.
space-group type	No. 204
uncorrected energy	-461.00	eV for the cell shown

No. 2
TmIn5Co | meta-GGA r2SCAN | optimized geometry

Structure (POSCAR):
```
TmIn5Co
1.0
-0.984 0.480 -4.395
-4.056 -1.889 0.702
-2.874 6.681 1.374
Tm In Co
1 5 1
Direct
0.000 0.000 0.000
0.500 0.500 0.000
0.500 0.000 0.695
0.000 0.500 0.305
0.500 0.000 0.305
0.000 0.500 0.695
0.000 0.000 0.500
```

V	21.69	Å³/atom
DFT formation energy	-278	meV/atom
M_tot	0.0	μB/f.u.
space-group type	No. 123
uncorrected energy	-163.20	eV for the cell shown

No. 3
Tm8In3Co | meta-GGA r2SCAN | optimized geometry

Structure (POSCAR):
```
Tm8In3Co
1.0
5.073 -8.786 0.000
5.073 8.786 0.000
0.000 0.000 6.912
Tm In Co
16 6 2
Direct
0.536 0.072 0.513
0.928 0.464 0.513
0.536 0.464 0.513
0.464 0.928 0.013
0.072 0.536 0.013
0.464 0.536 0.013
0.179 0.357 0.720
0.643 0.821 0.720
0.179 0.821 0.720
0.821 0.643 0.220
0.357 0.179 0.220
0.821 0.179 0.220
0.667 0.333 0.904
0.333 0.667 0.404
0.000 0.000 0.501
0.000 0.000 0.001
0.837 0.674 0.762
0.326 0.163 0.762
0.837 0.163 0.762
0.163 0.326 0.262
0.674 0.837 0.262
0.163 0.837 0.262
0.667 0.333 0.289
0.333 0.667 0.789
```

V	25.67	Å³/atom
DFT formation energy	-437	meV/atom
M_tot	0.0	μB/f.u.
space-group type	No. 186
uncorrected energy	-734.36	eV for the cell shown

No. 4
Tm3In4Co2 | meta-GGA r2SCAN | optimized geometry

Structure (POSCAR):
```
Tm3In4Co2
1.0
-4.838 0.250 6.121
-2.851 -1.069 -7.187
0.321 -3.526 0.397
Tm In Co
3 4 2
Direct
0.294 0.250 0.500
0.750 0.045 0.500
0.955 0.706 0.500
0.076 0.411 0.000
0.589 0.665 0.000
0.335 0.924 0.000
0.667 0.333 0.000
0.333 0.667 0.500
0.000 0.000 0.000
```

V	20.89	Å³/atom
DFT formation energy	-431	meV/atom
M_tot	0.9	μB/f.u.
space-group type	No. 174
uncorrected energy	-226.02	eV for the cell shown

No. 5
Y8In3Co | meta-GGA r2SCAN | optimized geometry

Structure (POSCAR):
```
Y8In3Co
1.0
5.193 -8.994 0.000
5.193 8.994 0.000
0.000 0.000 7.078
Y In Co
16 6 2
Direct
0.464 0.536 0.482
0.071 0.536 0.482
0.464 0.929 0.482
0.536 0.464 0.982
0.929 0.464 0.982
0.536 0.071 0.982
0.823 0.177 0.275
0.354 0.177 0.275
0.823 0.646 0.275
0.177 0.823 0.775
0.646 0.823 0.775
0.177 0.354 0.775
0.333 0.667 0.094
0.667 0.333 0.594
0.000 0.000 0.496
0.000 0.000 0.996
0.163 0.837 0.234
0.673 0.837 0.234
0.163 0.327 0.234
0.837 0.163 0.734
0.327 0.163 0.734
0.837 0.673 0.734
0.333 0.667 0.707
0.667 0.333 0.207
```

V	27.55	Å³/atom
DFT formation energy	-430	meV/atom
M_tot	0.0	μB/f.u.
space-group type	No. 186
uncorrected energy	-497.28	eV for the cell shown

No. 6
Y6InCo2 | meta-GGA r2SCAN | optimized geometry

Structure (POSCAR):
```
Y6InCo2
1.0
5.555 0.809 6.323
-5.407 6.478 0.540
-4.027 -7.406 0.648
Y In Co
12 2 4
Direct
0.441 0.228 0.213
0.559 0.772 0.787
0.016 0.228 0.787
0.984 0.772 0.213
0.185 0.290 0.475
0.815 0.710 0.525
0.185 0.710 0.896
0.815 0.290 0.104
0.318 0.617 0.299
0.682 0.383 0.701
0.318 0.018 0.701
0.682 0.982 0.299
0.500 0.500 0.000
0.000 0.000 0.000
0.385 0.000 0.385
0.615 0.000 0.615
0.108 0.608 0.500
0.892 0.392 0.500
```

V	25.82	Å³/atom
DFT formation energy	-235	meV/atom
M_tot	0.4	μB/f.u.
space-group type	No. 71
uncorrected energy	-346.09	eV for the cell shown